Entry one
Compound: LiMnP2O7
Source: Materials Project
Functional: PBE+U
Structure: optimized geometry

Cell and atoms, written as CIF:
```
data_LiMnP2O7
_chemical_formula_sum 'Li8 Mn8 P16 O56'
_cell_length_a 11.188
_cell_length_b 9.732
_cell_length_c 9.813
_cell_angle_alpha 90.00
_cell_angle_beta 101.74
_cell_angle_gamma 90.00
_space_group_name_H-M_alt 'P 1 c 1'
_space_group_IT_number 7
_space_group_name_Hall 'P -2yc'
loop_
_atom_site_label
_atom_site_fract_x
_atom_site_fract_y
_atom_site_fract_z
Li1 0.000 0.036 0.000
Li2 0.429 0.344 0.517
Li3 0.496 0.135 0.252
Li4 0.914 0.339 0.944
Mn1 0.132 0.321 0.811
Mn2 0.291 0.026 0.878
Mn3 0.615 0.475 0.319
Mn4 0.789 0.181 0.417
P1 0.029 0.391 0.489
P2 0.209 0.200 0.128
P3 0.211 0.169 0.537
P4 0.336 0.464 0.221
P5 0.571 0.040 0.985
P6 0.692 0.312 0.070
P7 0.697 0.320 0.670
P8 0.877 0.096 0.741
O1 0.027 0.391 0.647
O2 0.043 0.466 0.934
O3 0.080 0.164 0.129
O4 0.146 0.050 0.442
O5 0.152 0.310 0.473
O6 0.194 0.159 0.688
O7 0.232 0.347 0.201
O8 0.237 0.212 0.974
O9 0.281 0.423 0.799
O10 0.309 0.105 0.212
O11 0.341 0.164 0.510
O12 0.364 0.499 0.584
O13 0.450 0.398 0.322
O14 0.455 0.080 0.874
O15 0.544 0.015 0.125
O16 0.564 0.335 0.673
O17 0.603 0.414 0.980
O18 0.632 0.081 0.419
O19 0.651 0.303 0.215
O20 0.666 0.164 0.993
O21 0.726 0.328 0.521
O22 0.748 0.174 0.732
O23 0.763 0.430 0.775
O24 0.825 0.336 0.082
O25 0.862 0.040 0.313
O26 0.896 0.080 0.593
O27 0.920 0.312 0.404
O28 0.974 0.185 0.835
```


Entry two
Compound: LiMnP2O7
Source: Materials Project
Functional: PBE+U
Structure: optimized geometry

Cell and atoms, written as CIF:
```
data_LiMnP2O7
_chemical_formula_sum 'Li4 Mn4 P8 O28'
_cell_length_a 5.050
_cell_length_b 13.355
_cell_length_c 9.616
_cell_angle_alpha 90.00
_cell_angle_beta 119.01
_cell_angle_gamma 90.00
_space_group_name_H-M_alt 'P 1 21/c 1'
_space_group_IT_number 14
_space_group_name_Hall '-P 2ybc'
loop_
_atom_site_label
_atom_site_fract_x
_atom_site_fract_y
_atom_site_fract_z
Li1 0.007 0.125 0.158
Mn1 0.045 0.664 0.746
P1 0.269 0.176 0.538
P2 0.483 0.030 0.775
O1 0.046 0.189 0.363
O2 0.153 0.223 0.646
O3 0.231 0.047 0.822
O4 0.261 0.610 0.642
O5 0.318 0.058 0.583
O6 0.401 0.075 0.204
O7 0.418 0.718 0.920
```


Entry three
Compound: LiMnP2O7
Source: Materials Project
Functional: PBE+U
Structure: optimized geometry

Cell and atoms, written as CIF:
```
data_LiMnP2O7
_chemical_formula_sum 'Li2 Mn2 P4 O14'
_cell_length_a 4.977
_cell_length_b 6.764
_cell_length_c 8.179
_cell_angle_alpha 92.58
_cell_angle_beta 93.63
_cell_angle_gamma 104.32
_space_group_name_H-M_alt 'P 1'
_space_group_IT_number 1
_space_group_name_Hall 'P 1'
loop_
_atom_site_label
_atom_site_fract_x
_atom_site_fract_y
_atom_site_fract_z
Li1 0.000 0.000 0.000
Li2 0.400 0.569 0.488
Mn1 0.437 0.534 0.064
Mn2 0.942 0.043 0.564
P1 0.075 0.790 0.260
P2 0.393 0.875 0.791
P3 0.479 0.193 0.333
P4 0.802 0.285 0.867
O1 0.044 0.307 0.995
O2 0.140 0.968 0.760
O3 0.260 0.014 0.217
O4 0.268 0.643 0.257
O5 0.307 0.711 0.914
O6 0.325 0.254 0.475
O7 0.525 0.817 0.640
O8 0.573 0.366 0.219
O9 0.612 0.429 0.883
O10 0.626 0.052 0.901
O11 0.724 0.101 0.378
O12 0.843 0.756 0.126
O13 0.876 0.276 0.687
O14 0.993 0.804 0.438
```


The structure with the greatest stability is entry three.


Entry one
Compound: LiMnP2O7
Source: Materials Project
Functional: PBE+U
Structure: optimized geometry

Cell and atoms, written as CIF:
```
data_LiMnP2O7
_chemical_formula_sum 'Li4 Mn4 P8 O28'
_cell_length_a 8.412
_cell_length_b 5.167
_cell_length_c 13.864
_cell_angle_alpha 90.00
_cell_angle_beta 116.86
_cell_angle_gamma 90.00
_space_group_name_H-M_alt 'P 1 c 1'
_space_group_IT_number 7
_space_group_name_Hall 'P -2yc'
loop_
_atom_site_label
_atom_site_fract_x
_atom_site_fract_y
_atom_site_fract_z
Li1 0.000 0.004 0.000
Li2 0.436 0.461 0.393
Mn1 0.172 0.000 0.285
Mn2 0.705 0.481 0.826
P1 0.130 0.484 0.429
P2 0.265 0.491 0.667
P3 0.611 0.023 0.951
P4 0.749 0.035 0.194
O1 0.114 0.192 0.407
O2 0.140 0.308 0.176
O3 0.211 0.209 0.667
O4 0.215 0.369 0.869
O5 0.273 0.469 0.054
O6 0.421 0.080 0.379
O7 0.455 0.444 0.252
O8 0.613 0.010 0.067
O9 0.636 0.311 0.934
O10 0.669 0.135 0.748
O11 0.752 0.152 0.447
O12 0.760 0.321 0.225
O13 0.927 0.066 0.702
O14 0.957 0.393 0.920
```


Entry two
# LiMnP2O7 (PBE+U, optimized geometry)
data_LiMnP2O7
_chemical_formula_sum 'Li4 Mn4 P8 O28'
_cell_length_a 15.522
_cell_length_b 4.979
_cell_length_c 8.772
_cell_angle_alpha 90.00
_cell_angle_beta 111.33
_cell_angle_gamma 90.00
_space_group_name_H-M_alt 'C 1 c 1'
_space_group_IT_number 9
_space_group_name_Hall 'C -2yc'
loop_
_atom_site_label
_atom_site_fract_x
_atom_site_fract_y
_atom_site_fract_z
Li1 0.000 0.168 0.000
Mn1 0.202 0.011 0.049
P1 0.103 0.368 0.736
P2 0.300 0.363 0.850
O1 0.027 0.436 0.168
O2 0.104 0.225 0.896
O3 0.107 0.145 0.613
O4 0.201 0.466 0.290
O5 0.293 0.171 0.984
O6 0.295 0.204 0.695
O7 0.377 0.443 0.405
# maximum piezoelectric response: 0.337 C/m2


Entry three
Compound: LiMnP2O7
Source: Materials Project
Functional: PBE+U
Structure: optimized geometry

Cell and atoms, written as CIF:
```
data_LiMnP2O7
_chemical_formula_sum 'Li2 Mn2 P4 O14'
_cell_length_a 6.210
_cell_length_b 6.248
_cell_length_c 7.272
_cell_angle_alpha 82.17
_cell_angle_beta 69.25
_cell_angle_gamma 81.92
_space_group_name_H-M_alt 'P -1'
_space_group_IT_number 2
_space_group_name_Hall '-P 1'
loop_
_atom_site_label
_atom_site_fract_x
_atom_site_fract_y
_atom_site_fract_z
Li1 0.206 0.008 0.345
Mn1 0.400 0.353 0.747
P1 0.152 0.609 0.143
P2 0.283 0.860 0.741
O1 0.102 0.397 0.721
O2 0.113 0.940 0.637
O3 0.139 0.797 0.970
O4 0.266 0.400 0.052
O5 0.284 0.698 0.257
O6 0.438 0.035 0.742
O7 0.447 0.657 0.659
```


The structure with the greatest stability is entry three.


Entry one
Compound: LiMnP2O7
Source: Materials Project
Functional: PBE+U
Structure: optimized geometry

Cell and atoms, written as CIF:
```
data_LiMnP2O7
_chemical_formula_sum 'Li8 Mn8 P16 O56'
_cell_length_a 9.470
_cell_length_b 8.080
_cell_length_c 13.772
_cell_angle_alpha 90.00
_cell_angle_beta 108.98
_cell_angle_gamma 90.00
_space_group_name_H-M_alt 'C 1 2/c 1'
_space_group_IT_number 15
_space_group_name_Hall '-C 2yc'
loop_
_atom_site_label
_atom_site_fract_x
_atom_site_fract_y
_atom_site_fract_z
Li1 0.219 0.115 0.365
Mn1 0.247 0.492 0.860
P1 0.052 0.205 0.924
P2 0.059 0.323 0.133
O1 0.065 0.331 0.018
O2 0.109 0.334 0.377
O3 0.112 0.150 0.178
O4 0.116 0.306 0.854
O5 0.118 0.180 0.628
O6 0.140 0.048 0.966
O7 0.155 0.465 0.189
```


Entry two
Compound: LiMnP2O7
Source: Materials Project
Functional: PBE+U
Structure: optimized geometry

Cell and atoms, written as CIF:
```
data_LiMnP2O7
_chemical_formula_sum 'Li4 Mn4 P8 O28'
_cell_length_a 6.899
_cell_length_b 8.297
_cell_length_c 9.293
_cell_angle_alpha 90.00
_cell_angle_beta 110.22
_cell_angle_gamma 90.00
_space_group_name_H-M_alt 'P 1 21/c 1'
_space_group_IT_number 14
_space_group_name_Hall '-P 2ybc'
loop_
_atom_site_label
_atom_site_fract_x
_atom_site_fract_y
_atom_site_fract_z
Li1 0.206 0.068 0.082
Mn1 0.299 0.067 0.677
P1 0.062 0.736 0.741
P2 0.459 0.724 0.028
O1 0.043 0.612 0.620
O2 0.112 0.593 0.200
O3 0.130 0.242 0.707
O4 0.243 0.685 0.899
O5 0.375 0.225 0.550
O6 0.462 0.615 0.606
O7 0.486 0.582 0.141
```


The structure with the greatest stability is entry one.